No. 1
Tm5Zr3Ni16As12 | PBE | optimized geometry

Computed properties:
**Energy of formation from the pure elements**: -0.8148 eV/atom

Cell: 12.721 12.721 3.886 Å, 90.00 90.00 120.00°
Positions (direct):
Tm (0.000, 0.181, 0.500)
Tm (0.819, 0.819, 0.500)
Tm (0.181, 0.000, 0.500)
Tm (0.667, 0.333, 0.000)
Tm (0.333, 0.667, 0.000)
Zr (0.000, 0.562, 0.000)
Zr (0.438, 0.438, 0.000)
Zr (0.562, 0.000, 0.000)
Ni (0.000, 0.724, 0.500)
Ni (0.276, 0.276, 0.500)
Ni (0.724, 0.000, 0.500)
Ni (0.808, 0.182, 0.000)
Ni (0.818, 0.626, 0.000)
Ni (0.374, 0.192, 0.000)
Ni (0.182, 0.808, 0.000)
Ni (0.626, 0.818, 0.000)
Ni (0.192, 0.374, 0.000)
Ni (0.879, 0.360, 0.500)
Ni (0.640, 0.519, 0.500)
Ni (0.481, 0.121, 0.500)
Ni (0.360, 0.879, 0.500)
Ni (0.519, 0.640, 0.500)
Ni (0.121, 0.481, 0.500)
Ni (0.000, 0.000, 0.000)
As (0.000, 0.823, 0.000)
As (0.177, 0.177, 0.000)
As (0.823, 0.000, 0.000)
As (0.692, 0.173, 0.500)
As (0.827, 0.519, 0.500)
As (0.481, 0.308, 0.500)
As (0.173, 0.692, 0.500)
As (0.519, 0.827, 0.500)
As (0.308, 0.481, 0.500)
As (0.000, 0.354, 0.000)
As (0.646, 0.646, 0.000)
As (0.354, 0.000, 0.000)

No. 2
UNiAs2 | PBE | optimized geometry

Computed properties:
**Energy of formation from the pure elements**: -0.6101 eV/atom

Cell: 3.949 3.949 9.171 Å, 90.00 90.00 90.00°
Positions (direct):
U (0.500, 0.000, 0.754)
U (0.000, 0.500, 0.246)
Ni (0.500, 0.500, 0.500)
Ni (0.000, 0.000, 0.500)
As (0.500, 0.500, 0.000)
As (0.000, 0.500, 0.658)
As (0.000, 0.000, 0.000)
As (0.500, 0.000, 0.342)

No. 3
UNiAs | PBE | optimized geometry

Computed properties:
**Energy of formation from the pure elements**: -0.5611 eV/atom

Cell: 4.055 4.055 15.299 Å, 90.00 90.00 120.00°
Positions (direct):
U (0.000, 0.000, 0.250)
U (0.000, 0.000, 0.750)
U (0.000, 0.000, 0.000)
U (0.000, 0.000, 0.500)
Ni (0.333, 0.667, 0.137)
Ni (0.667, 0.333, 0.863)
Ni (0.667, 0.333, 0.637)
Ni (0.333, 0.667, 0.363)
As (0.333, 0.667, 0.621)
As (0.667, 0.333, 0.379)
As (0.667, 0.333, 0.121)
As (0.333, 0.667, 0.879)

No. 4
VNiAs | PBE | optimized geometry

Computed properties:
**Energy of formation from the pure elements**: -0.4007 eV/atom

Cell: 3.700 6.025 7.121 Å, 90.00 90.00 90.00°
Positions (direct):
V (0.750, 0.973, 0.670)
V (0.750, 0.473, 0.830)
V (0.250, 0.027, 0.330)
V (0.250, 0.527, 0.170)
Ni (0.750, 0.854, 0.064)
Ni (0.750, 0.354, 0.436)
Ni (0.250, 0.146, 0.936)
Ni (0.250, 0.646, 0.564)
As (0.750, 0.740, 0.376)
As (0.750, 0.240, 0.124)
As (0.250, 0.260, 0.624)
As (0.250, 0.760, 0.876)

No. 5
YNiAs | PBE | optimized geometry

Computed properties:
**Energy of formation from the pure elements**: -1.0574 eV/atom

Cell: 4.079 4.079 3.907 Å, 90.00 90.00 120.00°
Positions (direct):
Y (0.667, 0.333, 0.500)
Ni (0.333, 0.667, 0.000)
As (0.000, 0.000, 0.000)

No. 6
Zr4Ni3As8 | PBE | optimized geometry

Computed properties:
**Energy of formation from the pure elements**: -0.7593 eV/atom

Cell: 3.839 3.839 17.740 Å, 90.00 90.00 90.00°
Positions (direct):
Zr (0.500, 0.000, 0.126)
Zr (0.500, 0.000, 0.632)
Zr (0.000, 0.500, 0.874)
Zr (0.000, 0.500, 0.368)
Ni (0.500, 0.500, 0.500)
Ni (0.000, 0.000, 0.000)
Ni (0.000, 0.000, 0.500)
As (0.500, 0.000, 0.928)
As (0.500, 0.000, 0.420)
As (0.000, 0.500, 0.072)
As (0.000, 0.500, 0.580)
As (0.500, 0.500, 0.753)
As (0.500, 0.500, 0.247)
As (0.000, 0.000, 0.753)
As (0.000, 0.000, 0.247)

No. 7
ZrNiAs | PBE | optimized geometry

Computed properties:
**Energy of formation from the pure elements**: -0.8891 eV/atom

Cell: 3.902 6.496 7.337 Å, 90.00 90.00 90.00°
Positions (direct):
Zr (0.250, 0.487, 0.189)
Zr (0.750, 0.513, 0.811)
Zr (0.750, 0.013, 0.689)
Zr (0.250, 0.987, 0.311)
Ni (0.250, 0.834, 0.925)
Ni (0.750, 0.166, 0.075)
Ni (0.750, 0.666, 0.425)
Ni (0.250, 0.334, 0.575)
As (0.250, 0.717, 0.604)
As (0.750, 0.283, 0.396)
As (0.750, 0.783, 0.104)
As (0.250, 0.217, 0.896)

No. 8
NpAs | PBE | optimized geometry

Computed properties:
**Energy of formation from the pure elements**: -0.6939 eV/atom
**E above lowest polymorph**: 0 meV/atom

Cell: 4.116 4.116 4.116 Å, 60.00 60.00 60.00°
Positions (direct):
Np (0.500, 0.500, 0.500)
As (0.000, 0.000, 0.000)

- Look up the energy of formation from the pure elements of the seventh one.
  -0.8891 eV/atom

- energy of formation from the pure elements of number 6 (Zr4Ni3As8)?
  -0.7593 eV/atom

- Which value of energy of formation from the pure elements does entry 6 give?
  -0.7593 eV/atom

Copy entry 3 word for word.
UNiAs | PBE | optimized geometry

Computed properties:
**Energy of formation from the pure elements**: -0.5611 eV/atom

Cell: 4.055 4.055 15.299 Å, 90.00 90.00 120.00°
Positions (direct):
U (0.000, 0.000, 0.250)
U (0.000, 0.000, 0.750)
U (0.000, 0.000, 0.000)
U (0.000, 0.000, 0.500)
Ni (0.333, 0.667, 0.137)
Ni (0.667, 0.333, 0.863)
Ni (0.667, 0.333, 0.637)
Ni (0.333, 0.667, 0.363)
As (0.333, 0.667, 0.621)
As (0.667, 0.333, 0.379)
As (0.667, 0.333, 0.121)
As (0.333, 0.667, 0.879)